! SmTlMo2O8 GGA+U relaxed; values from VASP
! - Magnetic moment: 0.0 μB/cell
! - DFT formation energy: -2.37 eV per atom
&SYSTEM
  ibrav = 0, nat = 48, ntyp = 4
/
ATOMIC_SPECIES
Sm 150.36 Sm.upf
Tl 204.38 Tl.upf
Mo 95.94 Mo.upf
O 16.00 O.upf
CELL_PARAMETERS angstrom
5.203 0.000 0.000
0.000 19.420 0.000
0.000 0.000 8.263
ATOMIC_POSITIONS angstrom
Sm 0.000 0.082 2.066
Sm 0.000 19.337 6.197
Sm 2.602 9.628 6.197
Sm 2.602 9.792 2.066
Tl 0.000 4.399 6.197
Tl 0.000 15.021 2.066
Tl 2.602 5.311 2.066
Tl 2.602 14.109 6.197
Mo 0.108 7.780 0.085
Mo 0.108 11.640 4.216
Mo 2.494 1.930 4.216
Mo 2.494 17.490 0.085
Mo 2.710 1.930 8.178
Mo 2.710 17.490 4.046
Mo 5.095 7.780 4.046
Mo 5.095 11.640 8.178
O 0.518 6.135 4.002
O 0.518 13.285 8.133
O 1.182 7.875 6.914
O 1.182 11.545 2.783
O 1.237 7.954 1.498
O 1.237 11.466 5.630
O 1.299 0.715 0.018
O 1.302 8.995 4.149
O 1.302 10.425 0.018
O 1.299 18.705 4.149
O 1.365 1.756 5.630
O 1.365 17.664 1.498
O 1.419 1.835 2.783
O 1.419 17.585 6.914
O 2.084 3.575 8.133
O 2.084 15.845 4.002
O 3.119 3.575 4.261
O 3.119 15.845 0.129
O 3.784 1.835 1.349
O 3.784 17.585 5.480
O 3.838 1.756 6.764
O 3.838 17.664 2.633
O 3.904 0.715 4.114
O 3.901 8.995 8.245
O 3.901 10.425 4.114
O 3.904 18.705 8.245
O 3.966 7.954 2.633
O 3.966 11.466 6.764
O 4.021 7.875 5.480
O 4.021 11.545 1.349
O 4.686 6.135 0.129
O 4.686 13.285 4.261